(1)
A plane-wave DFT calculation with PBE was carried out for a geometry-optimized Li2GdIn structure.

**E_form**: -292 meV/atom
**Volume**: 20.42 Å³/atom

Lattice parameters (Å, degrees): 4.870 4.870 4.870 60.00 60.00 60.00
Fractional coordinates of all 4 atoms:
In 0.000 0.000 0.000
Li 0.250 0.250 0.250
Li 0.750 0.750 0.750
Gd 0.500 0.500 0.500

---

(2)
A plane-wave DFT calculation with PBE was carried out for a geometry-optimized MgNbCu3S4 structure.

**E_form**: -652 meV/atom
**Volume**: 19.42 Å³/atom

Lattice parameters (Å, degrees): 5.591 5.591 5.591 90.00 90.00 90.00
Fractional coordinates of all 9 atoms:
S 0.247 0.753 0.753
S 0.247 0.247 0.247
S 0.753 0.247 0.753
S 0.753 0.753 0.247
Nb 0.000 0.000 0.000
Cu 0.500 0.000 0.000
Cu 0.000 0.500 0.000
Cu 0.000 0.000 0.500
Mg 0.500 0.500 0.500

---

(3)
A plane-wave DFT calculation with PBE was carried out for a geometry-optimized MgSi structure.

**E_form**: 115 meV/atom
**Volume**: 17.77 Å³/atom

Lattice parameters (Å, degrees): 2.949 5.037 14.414 87.50 85.51 89.80
Fractional coordinates of all 12 atoms:
Si 0.446 0.709 0.099
Si 0.379 0.995 0.232
Si 0.700 0.590 0.568
Si 0.300 0.410 0.432
Si 0.554 0.291 0.901
Si 0.621 0.005 0.768
Mg 0.200 0.074 0.595
Mg 0.130 0.513 0.740
Mg 0.800 0.926 0.405
Mg 0.963 0.218 0.073
Mg 0.870 0.487 0.260
Mg 0.037 0.782 0.927

---

(4)
A plane-wave DFT calculation with PBE was carried out for a geometry-optimized MgTl2Sb2O6 structure.

**E_form**: -1566 meV/atom
**Volume**: 19.91 Å³/atom

Lattice parameters (Å, degrees): 8.312 8.310 8.318 40.54 40.56 40.55
Fractional coordinates of all 11 atoms:
Tl 0.607 0.607 0.605
Tl 0.398 0.398 0.399
O 0.499 0.960 0.200
O 0.201 0.499 0.958
O 0.091 0.825 0.430
O 0.429 0.091 0.826
O 0.961 0.201 0.497
O 0.825 0.431 0.091
Sb 0.157 0.157 0.157
Sb 0.836 0.836 0.836
Mg 0.276 0.276 0.273

---

(5)
A plane-wave DFT calculation with PBE was carried out for a geometry-optimized Li5Ti8O16 structure.

**E_form**: -3152 meV/atom
**Volume**: 9.94 Å³/atom

Lattice parameters (Å, degrees): 5.321 7.661 7.875 93.60 105.76 108.83
Fractional coordinates of all 29 atoms:
Ti 0.524 0.058 0.680
Ti 0.502 0.944 0.330
Ti 0.506 0.554 0.183
Ti 0.012 0.551 0.680
Ti 0.979 0.946 0.807
Ti 0.020 0.058 0.179
Ti 0.470 0.443 0.808
Ti 0.996 0.444 0.332
O 0.269 0.561 0.934
O 0.225 0.825 0.699
O 0.237 0.441 0.567
O 0.777 0.676 0.809
O 0.285 0.174 0.806
O 0.267 0.052 0.426
O 0.765 0.555 0.428
O 0.716 0.325 0.692
O 0.722 0.450 0.075
O 0.237 0.946 0.070
O 0.744 0.943 0.566
O 0.264 0.675 0.293
O 0.764 0.050 0.932
O 0.234 0.324 0.209
O 0.769 0.175 0.292
O 0.730 0.825 0.200
Li 0.021 0.660 0.043
Li 0.547 0.179 0.042
Li 0.967 0.832 0.458
Li 0.474 0.825 0.948
Li 0.460 0.331 0.459

---

(6)
A plane-wave DFT calculation with PBE was carried out for a geometry-optimized Ni2Mo structure.

**E_form**: -77 meV/atom
**Volume**: 12.50 Å³/atom

Lattice parameters (Å, degrees): 4.478 4.478 4.478 145.54 131.82 60.58
Fractional coordinates of all 3 atoms:
Mo 0.000 0.000 0.000
Ni 0.331 0.331 0.000
Ni 0.669 0.669 0.000

---

(7)
A plane-wave DFT calculation with PBE was carried out for a geometry-optimized LiLaSO structure.

**E_form**: -2780 meV/atom
**Volume**: 17.73 Å³/atom

Lattice parameters (Å, degrees): 4.021 4.021 8.772 90.00 90.00 90.00
Fractional coordinates of all 8 atoms:
S 0.000 0.500 0.339
S 0.500 0.000 0.661
La 0.500 0.000 0.142
La 0.000 0.500 0.858
O 0.500 0.500 0.000
O 0.000 0.000 0.000
Li 0.500 0.500 0.500
Li 0.000 0.000 0.500

---

(8)
A plane-wave DFT calculation with PBE was carried out for a geometry-optimized TiS3 structure.

**E_form**: -801 meV/atom
**Volume**: 31.60 Å³/atom

Lattice parameters (Å, degrees): 7.016 7.016 7.016 117.97 117.97 117.97
Fractional coordinates of all 4 atoms:
S 0.677 0.411 0.411
S 0.411 0.677 0.411
S 0.411 0.411 0.677
Ti 0.000 0.000 0.000

---

- Which of these has the highest volume?
  TiS3

---

What did the fourth record say?
A plane-wave DFT calculation with PBE was carried out for a geometry-optimized MgTl2Sb2O6 structure.

**E_form**: -1566 meV/atom
**Volume**: 19.91 Å³/atom

Lattice parameters (Å, degrees): 8.312 8.310 8.318 40.54 40.56 40.55
Fractional coordinates of all 11 atoms:
Tl 0.607 0.607 0.605
Tl 0.398 0.398 0.399
O 0.499 0.960 0.200
O 0.201 0.499 0.958
O 0.091 0.825 0.430
O 0.429 0.091 0.826
O 0.961 0.201 0.497
O 0.825 0.431 0.091
Sb 0.157 0.157 0.157
Sb 0.836 0.836 0.836
Mg 0.276 0.276 0.273

---

- What is the volume in the second record?
  19.42 Å³/atom

---

Copy entry 1 word for word.
A plane-wave DFT calculation with PBE was carried out for a geometry-optimized Li2GdIn structure.

**E_form**: -292 meV/atom
**Volume**: 20.42 Å³/atom

Lattice parameters (Å, degrees): 4.870 4.870 4.870 60.00 60.00 60.00
Fractional coordinates of all 4 atoms:
In 0.000 0.000 0.000
Li 0.250 0.250 0.250
Li 0.750 0.750 0.750
Gd 0.500 0.500 0.500